Record 1
First-principles (PBE+U) data for crystalline MnV4NiO12 at its relaxed geometry, as listed in the Materials Project.

Values from the calculation:
- M_tot (μB per cell) = 7.00
- formation enthalpy at 0 K (eV/atom) = -2.21
- calculated density (Mg/m³) = 3.33
- electronic total energy (eV per atom) = -7.291
- energy with MP2020 corrections (eV per atom) = -8.3607

Cell lengths 6.829, 6.829, 5.864 Å; angles 105.44, 105.44, 84.04 degrees
Sites, in units of the cell vectors:
Mn 0.000 0.000 0.000
V 0.119 0.473 0.011
V 0.306 0.291 0.516
V 0.527 0.881 0.989
V 0.709 0.694 0.484
Ni 0.828 0.172 0.500
O 0.001 0.702 0.041
O 0.113 0.122 0.402
O 0.270 0.446 0.304
O 0.280 0.448 0.807
O 0.298 0.999 0.959
O 0.537 0.176 0.541
O 0.552 0.720 0.193
O 0.554 0.730 0.696
O 0.718 0.051 0.118
O 0.824 0.463 0.459
O 0.878 0.887 0.598
O 0.949 0.282 0.882



Record 2
First-principles (PBE+U) data for crystalline Mn2V3NiO8 at its relaxed geometry, as listed in the Materials Project.

Values from the calculation:
- M_tot (μB per cell) = 20.33
- formation enthalpy at 0 K (eV/atom) = -1.93
- calculated density (Mg/m³) = 4.63
- electronic total energy (eV per atom) = -7.250
- energy with MP2020 corrections (eV per atom) = -8.4266
- energy above the lowest structure with this stoichiometry (eV per formula unit) = 4.101

Cell lengths 6.062, 6.099, 10.498 Å; angles 74.59, 74.26, 60.90 degrees
Sites, in units of the cell vectors:
Mn 0.068 0.056 0.315
Mn 0.432 0.443 0.185
Mn 0.568 0.557 0.815
Mn 0.932 0.944 0.685
V 0.000 0.000 0.000
V 0.000 0.500 0.000
V 0.000 0.500 0.500
V 0.500 0.000 0.000
V 0.500 0.000 0.500
V 0.500 0.500 0.500
Ni 0.250 0.250 0.750
Ni 0.750 0.750 0.250
O 0.092 0.654 0.114
O 0.128 0.598 0.612
O 0.141 0.126 0.108
O 0.141 0.149 0.608
O 0.359 0.352 0.892
O 0.359 0.375 0.392
O 0.372 0.902 0.887
O 0.409 0.845 0.386
O 0.591 0.155 0.614
O 0.628 0.098 0.113
O 0.641 0.625 0.608
O 0.641 0.648 0.108
O 0.859 0.851 0.392
O 0.859 0.874 0.892
O 0.872 0.402 0.388
O 0.908 0.346 0.886



Record 3
First-principles (PBE+U) data for crystalline Mn2V3NiO8 at its relaxed geometry, as listed in the Materials Project.

Values from the calculation:
- M_tot (μB per cell) = 17.00
- formation enthalpy at 0 K (eV/atom) = -2.19
- calculated density (Mg/m³) = 4.64
- electronic total energy (eV per atom) = -7.512
- energy with MP2020 corrections (eV per atom) = -8.6884
- energy above the lowest structure with this stoichiometry (eV per formula unit) = 0.436

Cell lengths 6.113, 6.113, 6.113 Å; angles 59.86, 59.86, 59.86 degrees
Sites, in units of the cell vectors:
Mn 0.124 0.124 0.124
Mn 0.876 0.876 0.876
V 0.000 0.500 0.500
V 0.500 0.000 0.500
V 0.500 0.500 0.000
Ni 0.500 0.500 0.500
O 0.257 0.257 0.712
O 0.257 0.712 0.257
O 0.263 0.263 0.263
O 0.288 0.743 0.743
O 0.712 0.257 0.257
O 0.737 0.737 0.737
O 0.743 0.288 0.743
O 0.743 0.743 0.288



Record 4
First-principles (PBE+U) data for crystalline Y5Mn3Ni3O18 at its relaxed geometry, as listed in the Materials Project.

Values from the calculation:
- M_tot (μB per cell) = 24.00
- formation enthalpy at 0 K (eV/atom) = -2.50
- calculated density (Mg/m³) = 5.45
- electronic total energy (eV per atom) = -7.370
- energy with MP2020 corrections (eV per atom) = -8.2322

Cell lengths 7.483, 5.516, 17.521 Å; angles 90.00, 115.24, 90.00 degrees
Sites, in units of the cell vectors:
Y 0.000 0.176 0.000
Y 0.000 0.824 0.500
Y 0.158 0.316 0.656
Y 0.158 0.684 0.156
Y 0.341 0.180 0.336
Y 0.341 0.820 0.836
Y 0.665 0.185 0.664
Y 0.665 0.815 0.164
Y 0.821 0.313 0.323
Y 0.821 0.687 0.823
Mn 0.087 0.256 0.831
Mn 0.087 0.744 0.331
Mn 0.414 0.253 0.157
Mn 0.414 0.747 0.657
Mn 0.737 0.270 0.496
Mn 0.737 0.730 0.996
Ni 0.250 0.269 0.493
Ni 0.250 0.731 0.993
Ni 0.579 0.252 0.831
Ni 0.579 0.748 0.331
Ni 0.909 0.250 0.160
Ni 0.909 0.750 0.660
O 0.168 0.430 0.383
O 0.168 0.570 0.883
O 0.202 0.273 0.196
O 0.202 0.727 0.696
O 0.217 0.054 0.922
O 0.217 0.946 0.422
O 0.248 0.447 0.066
O 0.248 0.553 0.566
O 0.293 0.222 0.795
O 0.293 0.778 0.295
O 0.296 0.050 0.595
O 0.296 0.950 0.095
O 0.526 0.458 0.723
O 0.526 0.542 0.223
O 0.529 0.286 0.527
O 0.529 0.714 0.027
O 0.559 0.049 0.257
O 0.559 0.951 0.757
O 0.608 0.434 0.390
O 0.608 0.566 0.890
O 0.627 0.220 0.131
O 0.627 0.780 0.631
O 0.647 0.013 0.927
O 0.647 0.987 0.427
O 0.868 0.280 0.862
O 0.868 0.720 0.362
O 0.879 0.462 0.063
O 0.879 0.538 0.563
O 0.891 0.062 0.593
O 0.891 0.938 0.093
O 0.929 0.442 0.729
O 0.929 0.558 0.229
O 0.961 0.038 0.263
O 0.961 0.962 0.763
O 0.969 0.227 0.463
O 0.969 0.773 0.963